A plane-wave DFT calculation with PBE+U was carried out for Li2Ni3TeO8 after structural relaxation. Values from VASP.

Values from the calculation:
* formation energy from the elements: -1.4494 eV/atom
* energy above the most stable polymorph in this dataset: 80 meV per atom
* space group: C2/m (12)
* electronic total energy: -5.076 eV/atom

```
&SYSTEM
  ibrav = 0, nat = 14, ntyp = 4
/
ATOMIC_SPECIES
O 16.00 O.upf
Ni 58.69 Ni.upf
Li 6.94 Li.upf
Te 127.60 Te.upf
ATOMIC_POSITIONS crystal
O 0.225 0.759 0.232
Ni 0.500 0.500 0.000
Li 0.000 0.000 0.500
Ni 0.000 0.500 0.500
O 0.759 0.759 0.251
O 0.775 0.241 0.768
O 0.241 0.241 0.749
Ni 0.500 0.000 0.500
O 0.749 0.749 0.685
O 0.759 0.225 0.232
O 0.241 0.775 0.768
Te 0.000 0.000 0.000
Li 0.500 0.500 0.500
O 0.251 0.251 0.315
CELL_PARAMETERS angstrom
-0.183 -5.819 0.825
4.017 -3.352 -2.683
4.394 -2.938 3.195
```

=====

A plane-wave DFT calculation with PBE+U was carried out for Li2Ni3TeO8 after structural relaxation. Values from VASP.

Values from the calculation:
* formation energy from the elements: -1.5290 eV/atom
* energy above the most stable polymorph in this dataset: 1 meV per atom
* space group: C2/c (15)
* electronic total energy: -5.155 eV/atom

```
&SYSTEM
  ibrav = 0, nat = 28, ntyp = 4
/
ATOMIC_SPECIES
O 16.00 O.upf
Ni 58.69 Ni.upf
Li 6.94 Li.upf
Te 127.60 Te.upf
ATOMIC_POSITIONS crystal
O 0.874 0.406 0.257
Ni 0.000 0.500 0.500
O 0.095 0.628 0.262
Ni 0.000 0.000 0.500
Ni 0.500 0.000 0.000
Li 0.067 0.798 0.867
Li 0.932 0.202 0.133
Ni 0.000 0.500 0.000
O 0.905 0.372 0.738
O 0.351 0.906 0.280
Li 0.431 0.702 0.135
O 0.867 0.870 0.727
O 0.134 0.128 0.724
O 0.357 0.370 0.737
O 0.133 0.130 0.273
Te 0.248 0.250 0.502
Li 0.569 0.298 0.865
O 0.649 0.094 0.720
Te 0.752 0.750 0.498
Ni 0.500 0.000 0.500
O 0.126 0.594 0.743
O 0.865 0.872 0.276
O 0.360 0.370 0.277
Ni 0.500 0.500 0.500
O 0.592 0.130 0.270
O 0.640 0.630 0.723
O 0.643 0.630 0.263
O 0.408 0.870 0.730
CELL_PARAMETERS angstrom
2.951 -5.119 0.006
9.084 5.252 0.099
0.004 -3.416 4.819
```

=====

A plane-wave DFT calculation with PBE+U was carried out for Li2Ti3NiO8 after structural relaxation. Values from VASP.

Values from the calculation:
* piezoelectric modulus e_max: 0.867 C/m2
* formation energy from the elements: -2.9057 eV/atom
* energy above the most stable polymorph in this dataset: 53 meV per atom
* electronic total energy: -7.537 eV/atom

```
&SYSTEM
  ibrav = 0, nat = 56, ntyp = 4
/
ATOMIC_SPECIES
O 16.00 O.upf
Ni 58.69 Ni.upf
Li 6.94 Li.upf
Ti 47.87 Ti.upf
ATOMIC_POSITIONS crystal
O 0.731 0.479 0.614
Ni 0.764 0.882 0.500
O 0.268 0.517 0.116
O 0.520 0.259 0.500
O 0.267 0.517 0.884
O 0.731 0.479 0.114
O 0.480 0.741 0.000
Ni 0.265 0.382 0.750
Li 0.737 0.619 0.250
Ni 0.265 0.382 0.250
O 0.520 0.259 0.000
O 0.019 0.760 0.750
O 0.731 0.479 0.386
O 0.766 0.018 0.634
Ti 0.751 0.253 0.377
Ti 0.251 0.753 0.373
Ti 0.005 0.999 0.250
O 0.230 0.979 0.865
O 0.981 0.240 0.250
O 0.766 0.018 0.366
O 0.459 0.751 0.250
O 0.230 0.979 0.365
Li 0.002 0.501 0.000
Ti 0.251 0.753 0.627
Li 0.502 0.001 0.750
Ti 0.251 0.753 0.127
O 0.535 0.249 0.250
O 0.731 0.479 0.886
O 0.766 0.018 0.134
Li 0.502 0.001 0.250
O 0.766 0.018 0.866
O 0.033 0.748 0.000
O 0.268 0.517 0.616
O 0.981 0.240 0.750
Ti 0.505 0.498 0.000
O 0.459 0.751 0.750
Li 0.002 0.501 0.500
Li 0.237 0.119 0.000
O 0.034 0.748 0.500
Ni 0.764 0.883 0.000
O 0.019 0.760 0.250
Li 0.737 0.619 0.750
O 0.535 0.249 0.750
Li 0.237 0.119 0.500
O 0.480 0.741 0.500
O 0.960 0.252 0.500
O 0.960 0.252 0.000
Ti 0.751 0.253 0.623
Ti 0.005 0.999 0.750
O 0.230 0.979 0.635
O 0.230 0.979 0.135
Ti 0.752 0.253 0.123
Ti 0.751 0.253 0.877
Ti 0.251 0.753 0.873
O 0.268 0.517 0.384
Ti 0.506 0.498 0.500
CELL_PARAMETERS angstrom
5.991 0.013 0.009
0.023 6.907 4.884
0.000 -6.888 9.741
```

=====

A plane-wave DFT calculation with PBE+U was carried out for Li2Ti3NiO8 after structural relaxation. Values from VASP.

Values from the calculation:
* formation energy from the elements: -2.8533 eV/atom
* energy above the most stable polymorph in this dataset: 105 meV per atom
* space group: P2_13 (198)
* electronic total energy: -7.484 eV/atom

```
&SYSTEM
  ibrav = 0, nat = 56, ntyp = 4
/
ATOMIC_SPECIES
Ti 47.87 Ti.upf
O 16.00 O.upf
Ni 58.69 Ni.upf
Li 6.94 Li.upf
ATOMIC_POSITIONS crystal
Ti 0.883 0.122 0.371
O 0.375 0.609 0.608
O 0.108 0.125 0.391
O 0.359 0.373 0.856
O 0.141 0.627 0.356
Ti 0.878 0.871 0.617
Ni 0.497 0.503 0.003
O 0.875 0.891 0.392
O 0.641 0.873 0.644
Li 0.374 0.126 0.874
Ti 0.117 0.622 0.129
O 0.625 0.109 0.892
O 0.644 0.641 0.873
Li 0.753 0.247 0.747
Li 0.626 0.626 0.626
O 0.111 0.611 0.889
Li 0.747 0.753 0.247
O 0.611 0.889 0.111
Ti 0.622 0.129 0.117
Ti 0.629 0.383 0.378
Li 0.247 0.747 0.753
Li 0.253 0.253 0.253
O 0.627 0.356 0.141
Ti 0.122 0.371 0.883
O 0.362 0.638 0.138
Ni 0.997 0.997 0.997
Ni 0.503 0.003 0.497
O 0.856 0.359 0.373
O 0.392 0.875 0.891
O 0.144 0.859 0.127
O 0.859 0.127 0.144
O 0.873 0.644 0.641
O 0.356 0.141 0.627
O 0.138 0.362 0.638
Ti 0.617 0.878 0.871
O 0.373 0.856 0.359
O 0.127 0.144 0.859
O 0.862 0.862 0.862
Li 0.874 0.374 0.126
Ti 0.378 0.629 0.383
O 0.891 0.392 0.875
Ti 0.129 0.117 0.622
Ni 0.003 0.497 0.503
Ti 0.871 0.617 0.878
O 0.389 0.389 0.389
O 0.609 0.608 0.375
O 0.125 0.391 0.108
O 0.638 0.138 0.362
Li 0.126 0.874 0.374
O 0.391 0.108 0.125
Ti 0.383 0.378 0.629
O 0.889 0.111 0.611
O 0.109 0.892 0.625
Ti 0.371 0.883 0.122
O 0.608 0.375 0.609
O 0.892 0.625 0.109
CELL_PARAMETERS angstrom
-4.895 -4.392 -5.295
-3.808 -3.681 6.575
-5.729 6.200 0.153
```

=====

A plane-wave DFT calculation with PBE+U was carried out for Li2TiNi3O8 after structural relaxation. Values from VASP.

Values from the calculation:
* formation energy from the elements: -1.7659 eV/atom
* space group: P2_12_12_1 (19)
* electronic total energy: -5.731 eV/atom

```
&SYSTEM
  ibrav = 0, nat = 56, ntyp = 4
/
ATOMIC_SPECIES
Li 6.94 Li.upf
O 16.00 O.upf
Ti 47.87 Ti.upf
Ni 58.69 Ni.upf
ATOMIC_POSITIONS crystal
Li 0.758 0.757 0.750
O 0.360 0.360 0.365
O 0.891 0.385 0.369
Ti 0.364 0.884 0.625
O 0.140 0.640 0.865
O 0.368 0.134 0.127
Li 0.494 0.495 0.504
Ti 0.136 0.116 0.125
Ni 0.627 0.124 0.628
Ti 0.636 0.384 0.875
Ni 0.625 0.629 0.121
O 0.132 0.866 0.627
Ni 0.625 0.878 0.376
O 0.138 0.143 0.363
Ni 0.127 0.376 0.372
O 0.862 0.643 0.137
Li 0.506 0.995 0.996
O 0.389 0.890 0.389
O 0.111 0.110 0.889
O 0.638 0.357 0.637
O 0.640 0.860 0.135
Ti 0.864 0.616 0.375
O 0.611 0.390 0.111
O 0.641 0.133 0.854
Li 0.994 0.005 0.496
O 0.109 0.885 0.131
Li 0.258 0.743 0.250
O 0.881 0.104 0.118
O 0.359 0.633 0.646
O 0.609 0.615 0.869
O 0.381 0.396 0.882
O 0.362 0.857 0.863
O 0.859 0.867 0.354
Ni 0.873 0.876 0.128
O 0.889 0.610 0.611
O 0.889 0.880 0.904
O 0.391 0.115 0.631
Li 0.242 0.257 0.750
O 0.611 0.120 0.404
Ni 0.125 0.871 0.879
Ni 0.375 0.378 0.124
O 0.389 0.620 0.096
Ni 0.125 0.622 0.624
Li 0.742 0.243 0.250
Ni 0.875 0.122 0.876
O 0.632 0.634 0.373
O 0.619 0.896 0.618
Ni 0.875 0.371 0.621
O 0.860 0.140 0.635
Ni 0.375 0.129 0.379
O 0.141 0.367 0.146
O 0.111 0.380 0.596
O 0.119 0.604 0.382
Li 0.006 0.505 0.004
Ni 0.373 0.624 0.872
O 0.868 0.366 0.873
CELL_PARAMETERS angstrom
7.985 0.000 0.000
0.000 8.165 0.000
0.000 0.000 8.420
```

=====

A plane-wave DFT calculation with PBE+U was carried out for Li6TiNi7O16 after structural relaxation. Values from VASP.

Values from the calculation:
* formation energy from the elements: -1.6021 eV/atom
* space group: P1 (1)
* electronic total energy: -5.275 eV/atom

```
&SYSTEM
  ibrav = 0, nat = 30, ntyp = 4
/
ATOMIC_SPECIES
Li 6.94 Li.upf
Ni 58.69 Ni.upf
O 16.00 O.upf
Ti 47.87 Ti.upf
ATOMIC_POSITIONS crystal
Li 0.058 0.452 0.803
Ni 0.124 0.867 0.627
Li 0.177 0.321 0.443
Ni 0.250 0.752 0.257
Ni 0.876 0.124 0.375
O 0.437 0.355 0.749
Li 0.452 0.060 0.688
O 0.938 0.283 0.098
O 0.076 0.162 0.731
O 0.204 0.000 0.371
Li 0.943 0.549 0.195
Ni 0.610 0.372 0.130
O 0.336 0.896 0.958
Li 0.561 0.932 0.310
Ni 0.503 0.498 0.497
O 0.686 0.505 0.869
Ni 0.750 0.251 0.751
Ti 0.007 0.020 0.995
O 0.449 0.754 0.595
Ni 0.373 0.619 0.875
O 0.188 0.583 0.530
O 0.683 0.076 0.031
O 0.800 0.993 0.655
Li 0.668 0.831 0.931
O 0.932 0.867 0.268
O 0.055 0.729 0.893
O 0.831 0.384 0.460
O 0.540 0.244 0.395
O 0.289 0.497 0.157
O 0.568 0.647 0.244
CELL_PARAMETERS angstrom
6.422 0.000 0.000
2.155 6.188 0.000
3.151 0.877 6.962
```

=====

A plane-wave DFT calculation with PBE+U was carried out for Li2Ti2NiO6 after structural relaxation. Values from VASP.

Values from the calculation:
* formation energy from the elements: -2.7209 eV/atom
* space group: Aem2 (39)
* electronic total energy: -7.122 eV/atom

```
&SYSTEM
  ibrav = 0, nat = 44, ntyp = 4
/
ATOMIC_SPECIES
O 16.00 O.upf
Ti 47.87 Ti.upf
Li 6.94 Li.upf
Ni 58.69 Ni.upf
ATOMIC_POSITIONS crystal
O 0.346 0.549 0.000
O 0.846 0.701 0.000
Ti 0.161 0.750 0.322
Li 0.165 0.875 0.500
Ni 0.000 0.500 0.000
Ti 0.839 0.750 0.678
O 0.496 0.804 0.636
Ni 0.500 0.750 0.000
O 0.860 0.804 0.364
O 0.640 0.054 0.636
Li 0.165 0.375 0.500
Ti 0.339 0.500 0.678
Li 0.835 0.625 0.500
O 0.154 0.299 0.000
Li 0.335 0.125 0.500
O 0.846 0.201 0.000
O 0.640 0.554 0.636
O 0.504 0.196 0.364
Ti 0.661 0.500 0.322
O 0.996 0.946 0.636
O 0.346 0.049 0.000
O 0.140 0.196 0.636
Li 0.665 0.875 0.500
Ti 0.839 0.250 0.678
O 0.496 0.304 0.636
O 0.996 0.446 0.636
Li 0.665 0.375 0.500
O 0.360 0.446 0.364
Ni 0.500 0.250 0.000
Li 0.335 0.625 0.500
O 0.860 0.304 0.364
Li 0.835 0.125 0.500
O 0.154 0.799 0.000
Ti 0.339 0.000 0.678
Ni 0.000 0.000 0.000
Ti 0.161 0.250 0.322
O 0.140 0.696 0.636
O 0.654 0.951 0.000
O 0.654 0.451 0.000
O 0.004 0.054 0.364
O 0.004 0.554 0.364
O 0.504 0.696 0.364
Ti 0.661 0.000 0.322
O 0.360 0.946 0.364
CELL_PARAMETERS angstrom
0.723 -4.062 -3.007
19.717 -1.199 6.361
-1.610 -0.678 4.862
```

=====

A plane-wave DFT calculation with PBE+U was carried out for Li2Ti3NiO8 after structural relaxation. Values from VASP.

Values from the calculation:
* formation energy from the elements: -2.9172 eV/atom
* energy above the most stable polymorph in this dataset: 41 meV per atom
* electronic total energy: -7.548 eV/atom

```
&SYSTEM
  ibrav = 0, nat = 56, ntyp = 4
/
ATOMIC_SPECIES
Ti 47.87 Ti.upf
O 16.00 O.upf
Li 6.94 Li.upf
Ni 58.69 Ni.upf
ATOMIC_POSITIONS crystal
Ti 0.253 0.084 0.715
O 0.723 0.759 0.330
O 0.739 0.420 0.607
O 0.277 0.241 0.830
Li 0.000 0.000 0.999
Ti 0.500 0.669 0.215
Ti 0.247 0.416 0.215
O 0.761 0.920 0.607
O 0.261 0.580 0.107
O 0.277 0.759 0.330
Li 0.000 0.667 0.388
Li 0.500 0.167 0.388
Li 0.500 0.500 0.499
Li 0.000 0.333 0.888
O 0.723 0.241 0.830
O 0.500 0.500 0.815
O 0.500 0.833 0.104
O 0.000 0.482 0.330
Ti 0.000 0.169 0.215
O 0.000 0.000 0.315
O 0.761 0.080 0.107
O 0.000 0.518 0.830
O 0.000 0.333 0.104
Ti 0.000 0.831 0.715
O 0.223 0.741 0.830
O 0.000 0.841 0.107
O 0.000 0.667 0.604
Ti 0.247 0.584 0.715
O 0.261 0.420 0.607
Ti 0.500 0.331 0.715
O 0.500 0.018 0.830
O 0.000 0.159 0.607
Ti 0.753 0.416 0.215
O 0.500 0.167 0.604
Li 0.500 0.500 0.999
Li 0.000 0.000 0.499
O 0.777 0.741 0.830
O 0.223 0.259 0.330
O 0.500 0.659 0.607
O 0.777 0.259 0.330
Ti 0.253 0.916 0.215
O 0.000 0.000 0.815
Ti 0.747 0.916 0.215
Ti 0.753 0.584 0.715
Ni 0.000 0.333 0.490
O 0.500 0.982 0.330
Li 0.500 0.833 0.888
O 0.500 0.341 0.107
Ti 0.747 0.084 0.715
O 0.500 0.500 0.315
O 0.239 0.080 0.107
Ni 0.000 0.667 0.990
O 0.739 0.580 0.107
Ni 0.500 0.167 0.990
Ni 0.500 0.833 0.490
O 0.239 0.920 0.607
CELL_PARAMETERS angstrom
5.941 0.000 0.000
0.000 10.290 0.000
0.000 0.000 9.698
```

=====

A plane-wave DFT calculation with PBE+U was carried out for Li4Ti3Ni3O12 after structural relaxation. Values from VASP.

Values from the calculation:
* formation energy from the elements: -2.3731 eV/atom
* energy above the most stable polymorph in this dataset: 0 meV per atom
* space group: P1 (1)
* electronic total energy: -6.563 eV/atom

```
&SYSTEM
  ibrav = 0, nat = 22, ntyp = 4
/
ATOMIC_SPECIES
O 16.00 O.upf
Ti 47.87 Ti.upf
Li 6.94 Li.upf
Ni 58.69 Ni.upf
ATOMIC_POSITIONS crystal
O 0.878 0.813 0.348
O 0.646 0.177 0.411
O 0.795 0.851 0.826
Ti 0.513 0.011 0.738
O 0.366 0.813 0.602
Li 0.996 0.006 0.495
O 0.695 0.153 0.922
Li 0.670 0.665 0.172
Ti 0.165 0.665 0.410
O 0.216 0.140 0.681
O 0.539 0.480 0.008
Ni 0.667 0.667 0.665
Li 0.167 0.667 0.917
Ti 0.821 0.324 0.087
Ni 0.329 0.333 0.335
O 0.024 0.493 0.248
Ni 0.003 0.000 0.002
O 0.969 0.522 0.744
Li 0.336 0.329 0.834
O 0.454 0.523 0.491
O 0.119 0.193 0.152
O 0.300 0.842 0.077
CELL_PARAMETERS angstrom
2.342 -3.699 -3.036
-1.193 -4.543 6.149
-4.898 -2.754 -0.417
```